Record 1
## TbSi2IrRh (PBE)

Data for crystalline TbSi2IrRh at its relaxed geometry.

The structure belongs to space group I-4m2 (No. 119); the cell edges are 4.082, 4.082 and 9.996 Å and the angles 90.00°, 90.00° and 90.00°. The inequivalent atoms are Tb at (0.000, 0.000, 0.000), Si at (0.000, 0.000, 0.378), Ir at (0.000, 0.500, 0.750) and Rh at (0.000, 0.500, 0.250).

The calculation puts the total moment at 0.0 μB per formula unit. For the formation energy, the calculation gives -1112 meV per atom.

---

Record 2
## Sm2IrRh (PBE)

Data for crystalline Sm2IrRh at its relaxed geometry.

The structure belongs to space group Fm-3m (No. 225); the cell edges are 7.011, 7.011 and 7.011 Å and the angles 90.00°, 90.00° and 90.00°. The inequivalent atoms are Sm at (0.250, 0.250, 0.250), Ir at (0.000, 0.000, 0.000) and Rh at (0.000, 0.000, 0.500).

For the formation energy, the calculation gives -712 meV per atom.

---

Record 3
## Tb2IrRh (PBE)

Data for crystalline Tb2IrRh at its relaxed geometry.

The structure belongs to space group Fm-3m (No. 225); the cell edges are 6.892, 6.892 and 6.892 Å and the angles 90.00°, 90.00° and 90.00°. The inequivalent atoms are Tb at (0.250, 0.250, 0.250), Ir at (0.000, 0.000, 0.000) and Rh at (0.000, 0.000, 0.500).

For the formation energy, the calculation gives -845 meV per atom.